(1)
# TiV15O24

A relaxed TiV15O24 crystal (PBE with a Hubbard U, the Materials Project).

POSCAR file:
```
TiV15O24
1.0
5.559 0.000 0.000
0.822 9.112 0.000
0.814 3.317 8.500
Ti V O
1 15 24
Direct
0.000 0.000 0.000
0.004 0.501 0.505
0.005 0.253 0.254
0.010 0.755 0.752
0.405 0.106 0.102
0.405 0.852 0.854
0.407 0.353 0.356
0.408 0.603 0.605
0.503 0.252 0.754
0.505 0.506 0.002
0.506 0.752 0.253
0.507 0.002 0.503
0.903 0.600 0.107
0.909 0.100 0.602
0.909 0.355 0.856
0.910 0.853 0.354
0.045 0.810 0.961
0.051 0.202 0.056
0.053 0.301 0.458
0.056 0.704 0.554
0.203 0.399 0.708
0.203 0.455 0.154
0.207 0.957 0.649
0.208 0.902 0.202
0.353 0.057 0.903
0.357 0.552 0.404
0.357 0.648 0.804
0.360 0.150 0.303
0.554 0.304 0.955
0.556 0.205 0.556
0.556 0.803 0.452
0.557 0.704 0.058
0.703 0.399 0.207
0.704 0.453 0.653
0.711 0.903 0.703
0.716 0.959 0.143
0.859 0.651 0.305
0.860 0.052 0.399
0.862 0.555 0.902
0.864 0.144 0.813
```

Summary:
formation energy from the elements	-2.58	eV/atom

(2)
# TiVO4

A relaxed TiVO4 crystal (PBE with a Hubbard U, the Materials Project).

POSCAR file:
```
TiVO4
1.0
0.091 0.685 3.807
5.002 -8.236 1.362
6.392 3.745 -0.826
O Ti V
16 4 4
Direct
0.500 0.956 0.496
0.500 0.538 0.499
0.000 0.206 0.501
0.000 0.797 0.502
0.000 0.797 0.002
0.000 0.038 0.251
0.000 0.456 0.753
0.500 0.706 0.249
0.500 0.956 0.997
0.500 0.297 0.248
0.000 0.206 0.001
0.000 0.456 0.254
0.500 0.706 0.749
0.000 0.038 0.751
0.500 0.297 0.748
0.500 0.538 0.999
0.000 0.258 0.754
0.500 0.758 0.496
0.000 0.257 0.254
0.500 0.758 0.996
0.000 0.996 0.516
0.500 0.496 0.734
0.500 0.495 0.234
0.000 0.996 0.016
```

Summary:
formation energy from the elements	-2.96	eV/atom

(3)
# Ti3V5O16

A relaxed Ti3V5O16 crystal (PBE with a Hubbard U, the Materials Project).

POSCAR file:
```
Ti3V5O16
1.0
5.895 0.000 0.000
2.929 5.160 0.000
0.100 0.058 9.083
Ti V O
3 5 16
Direct
0.000 0.000 0.000
0.137 0.689 0.505
0.466 0.475 0.007
0.182 0.165 0.520
0.517 0.963 0.017
0.661 0.161 0.286
0.665 0.642 0.502
0.976 0.492 0.784
0.006 0.490 0.401
0.151 0.653 0.900
0.170 0.155 0.903
0.280 0.343 0.642
0.327 0.807 0.108
0.331 0.820 0.610
0.371 0.293 0.140
0.502 0.488 0.402
0.516 0.995 0.403
0.665 0.148 0.899
0.682 0.633 0.904
0.792 0.863 0.139
0.806 0.282 0.141
0.847 0.771 0.636
0.853 0.346 0.637
0.992 0.006 0.404
```

Summary:
formation energy from the elements	-2.75	eV/atom

(4)
# TiVO4

A relaxed TiVO4 crystal (PBE with a Hubbard U, the Materials Project).

POSCAR file:
```
TiVO4
1.0
3.002 -1.781 1.472
1.275 -4.751 -8.350
2.277 2.767 -1.227
O Ti V
8 2 2
Direct
0.000 0.205 0.000
0.000 0.795 0.000
0.500 0.295 0.500
0.500 0.040 0.000
0.000 0.540 0.500
0.000 0.960 0.500
0.500 0.705 0.500
0.500 0.460 0.000
0.500 0.250 0.000
0.000 0.750 0.500
0.500 0.500 0.500
0.000 0.000 0.000
```

Summary:
formation energy from the elements	-2.95	eV/atom

(5)
# TiVO4

A relaxed TiVO4 crystal (PBE with a Hubbard U, the Materials Project).

POSCAR file:
```
TiVO4
1.0
3.725 0.000 0.000
0.001 3.870 0.000
0.075 0.007 19.470
Ti V O
4 4 16
Direct
0.000 0.000 0.000
0.006 0.000 0.500
0.501 0.499 0.750
0.518 0.499 0.250
0.041 0.499 0.619
0.044 0.499 0.119
0.482 0.999 0.369
0.540 0.999 0.869
0.003 0.999 0.599
0.005 0.999 0.099
0.008 0.499 0.724
0.009 0.998 0.890
0.012 0.499 0.020
0.012 0.999 0.390
0.013 0.500 0.224
0.016 0.499 0.520
0.502 0.499 0.849
0.507 0.999 0.269
0.508 0.999 0.974
0.510 0.499 0.640
0.511 0.000 0.474
0.511 0.000 0.770
0.513 0.499 0.140
0.521 0.499 0.349
```

Summary:
formation energy from the elements	-2.96	eV/atom

(6)
# TiVO4

A relaxed TiVO4 crystal (PBE with a Hubbard U, the Materials Project).

POSCAR file:
```
TiVO4
1.0
7.447 0.000 0.000
0.000 4.711 0.000
-6.140 0.000 7.589
Ti V O
4 4 16
Direct
0.101 0.027 0.185
0.101 0.473 0.685
0.899 0.527 0.315
0.899 0.973 0.815
0.368 0.007 0.580
0.368 0.493 0.080
0.632 0.507 0.920
0.632 0.993 0.420
0.115 0.714 0.856
0.115 0.786 0.356
0.127 0.218 0.020
0.127 0.282 0.520
0.371 0.185 0.395
0.371 0.315 0.895
0.378 0.747 0.723
0.378 0.753 0.223
0.622 0.247 0.777
0.622 0.253 0.277
0.629 0.685 0.105
0.629 0.815 0.605
0.873 0.718 0.480
0.873 0.782 0.980
0.885 0.214 0.644
0.885 0.286 0.144
```

Summary:
formation energy from the elements	-2.94	eV/atom

(7)
# TiVO4

A relaxed TiVO4 crystal (PBE with a Hubbard U, the Materials Project).

POSCAR file:
```
TiVO4
1.0
5.547 0.000 0.000
-2.604 7.131 0.000
-1.648 -2.618 7.075
Ti V O
4 4 16
Direct
0.000 0.000 0.000
0.003 0.511 0.000
0.495 0.756 0.489
0.514 0.256 0.508
0.368 0.316 0.874
0.385 0.820 0.872
0.872 0.568 0.377
0.884 0.070 0.370
0.061 0.768 0.982
0.078 0.267 0.975
0.176 0.697 0.592
0.184 0.123 0.277
0.192 0.617 0.267
0.199 0.210 0.616
0.316 0.567 0.896
0.317 0.050 0.894
0.558 0.015 0.479
0.576 0.518 0.473
0.677 0.867 0.770
0.689 0.453 0.105
0.694 0.956 0.102
0.696 0.372 0.771
0.816 0.817 0.394
0.817 0.301 0.396
```

Summary:
formation energy from the elements	-2.97	eV/atom

(8)
# Ti3V2O9

A relaxed Ti3V2O9 crystal (PBE with a Hubbard U, the Materials Project).

POSCAR file:
```
Ti3V2O9
1.0
10.541 -2.655 0.000
10.541 2.655 0.000
-1.779 0.000 6.710
Ti V O
6 4 18
Direct
0.000 0.000 0.000
0.000 0.000 0.500
0.086 0.266 0.058
0.266 0.086 0.558
0.734 0.914 0.442
0.914 0.734 0.942
0.384 0.489 0.584
0.489 0.384 0.084
0.511 0.616 0.916
0.616 0.511 0.416
0.050 0.138 0.509
0.138 0.050 0.009
0.188 0.812 0.750
0.207 0.207 0.338
0.207 0.207 0.838
0.264 0.442 0.980
0.316 0.641 0.380
0.359 0.684 0.120
0.442 0.264 0.480
0.558 0.736 0.520
0.641 0.316 0.880
0.684 0.359 0.620
0.736 0.558 0.020
0.793 0.793 0.162
0.793 0.793 0.662
0.812 0.188 0.250
0.862 0.950 0.991
0.950 0.862 0.491
```

Summary:
excess energy over the best structure of this formula in the dataset	78	meV/atom
formation energy from the elements	-2.84	eV/atom

(9)
# TiW2O8

A relaxed TiW2O8 crystal (PBE with a Hubbard U, the Materials Project).

POSCAR file:
```
TiW2O8
1.0
5.023 0.000 0.000
-1.363 5.051 0.000
-0.203 -2.311 6.485
Ti W O
1 2 8
Direct
0.000 0.000 0.000
0.255 0.473 0.820
0.745 0.527 0.180
0.093 0.771 0.155
0.131 0.752 0.769
0.332 0.289 0.584
0.368 0.289 0.035
0.632 0.711 0.965
0.668 0.711 0.416
0.869 0.248 0.231
0.907 0.229 0.845
```

Summary:
excess energy over the best structure of this formula in the dataset	42	meV/atom
formation energy from the elements	-2.39	eV/atom

(10)
# Ti3W2O12

A relaxed Ti3W2O12 crystal (PBE with a Hubbard U, the Materials Project).

POSCAR file:
```
Ti3W2O12
1.0
9.245 0.000 0.000
0.000 9.406 0.000
-9.195 0.000 12.974
Ti W O
12 8 48
Direct
0.028 0.109 0.140
0.028 0.391 0.640
0.252 0.616 0.143
0.252 0.884 0.643
0.462 0.248 0.990
0.462 0.252 0.490
0.538 0.748 0.510
0.538 0.752 0.010
0.748 0.116 0.357
0.748 0.384 0.857
0.972 0.609 0.360
0.972 0.891 0.860
0.129 0.531 0.880
0.129 0.969 0.380
0.371 0.527 0.618
0.371 0.973 0.118
0.629 0.027 0.882
0.629 0.473 0.382
0.871 0.031 0.620
0.871 0.469 0.120
0.005 0.207 0.667
0.005 0.293 0.167
0.083 0.573 0.165
0.083 0.927 0.665
0.093 0.506 0.750
0.093 0.994 0.250
0.172 0.558 0.016
0.172 0.942 0.516
0.189 0.560 0.469
0.189 0.940 0.969
0.197 0.092 0.114
0.197 0.408 0.614
0.263 0.144 0.429
0.263 0.356 0.929
0.286 0.692 0.651
0.286 0.808 0.151
0.347 0.636 0.935
0.347 0.864 0.435
0.457 0.517 0.240
0.457 0.983 0.740
0.459 0.124 0.078
0.459 0.376 0.578
0.475 0.159 0.892
0.475 0.341 0.392
0.525 0.659 0.608
0.525 0.841 0.108
0.541 0.624 0.422
0.541 0.876 0.922
0.543 0.017 0.260
0.543 0.483 0.760
0.653 0.136 0.565
0.653 0.364 0.065
0.714 0.192 0.849
0.714 0.308 0.349
0.737 0.644 0.071
0.737 0.856 0.571
0.803 0.592 0.386
0.803 0.908 0.886
0.811 0.060 0.031
0.811 0.440 0.531
0.828 0.058 0.484
0.828 0.442 0.984
0.907 0.006 0.750
0.907 0.494 0.250
0.917 0.073 0.335
0.917 0.427 0.835
0.995 0.707 0.833
0.995 0.793 0.333
```

Summary:
formation energy from the elements	-2.84	eV/atom

(11)
# TiW2O8

A relaxed TiW2O8 crystal (PBE with a Hubbard U, the Materials Project).

POSCAR file:
```
TiW2O8
1.0
5.047 0.000 0.000
0.000 5.825 0.000
-4.864 0.000 9.333
Ti W O
2 4 16
Direct
0.000 0.128 0.250
0.000 0.872 0.750
0.236 0.338 0.998
0.236 0.662 0.498
0.764 0.338 0.502
0.764 0.662 0.002
0.173 0.392 0.611
0.173 0.608 0.111
0.212 0.162 0.139
0.212 0.838 0.639
0.244 0.102 0.879
0.244 0.898 0.379
0.317 0.385 0.393
0.317 0.615 0.893
0.683 0.385 0.107
0.683 0.615 0.607
0.756 0.102 0.621
0.756 0.898 0.121
0.788 0.162 0.361
0.788 0.838 0.861
0.827 0.392 0.889
0.827 0.608 0.389
```

Summary:
excess energy over the best structure of this formula in the dataset	0	meV/atom
formation energy from the elements	-2.43	eV/atom

(12)
# YTiW2O8

A relaxed YTiW2O8 crystal (PBE with a Hubbard U, the Materials Project).

POSCAR file:
```
YTiW2O8
1.0
5.349 0.000 0.000
0.056 5.821 0.000
0.455 0.179 9.713
Y Ti W O
2 2 4 16
Direct
0.244 0.159 0.257
0.756 0.841 0.743
0.270 0.175 0.770
0.730 0.825 0.230
0.240 0.658 0.003
0.247 0.653 0.498
0.753 0.347 0.502
0.760 0.342 0.997
0.061 0.860 0.146
0.065 0.391 0.615
0.086 0.381 0.102
0.128 0.879 0.619
0.385 0.909 0.867
0.416 0.396 0.881
0.422 0.385 0.402
0.440 0.850 0.356
0.560 0.150 0.644
0.578 0.615 0.598
0.584 0.604 0.119
0.615 0.091 0.133
0.872 0.121 0.381
0.914 0.619 0.898
0.935 0.609 0.385
0.939 0.140 0.854
```

Summary:
excess energy over the best structure of this formula in the dataset	0	meV/atom
formation energy from the elements	-2.80	eV/atom